Record 1
Below is Na2SbSO4F3 after structural relaxation, with properties calculated at the PBE level.

Unit cell a=8.4657 b=8.4657 c=11.2537 alpha=90.00 beta=90.00 gamma=128.73
Sites, in units of the cell vectors:
Na  0.9698  0.4698  0.2500
Na  0.6180  0.3820  0.0000
Na  0.0302  0.5302  0.7500
Na  0.3820  0.6180  0.0000
Na  0.1180  0.8820  0.5000
Na  0.5302  0.0302  0.7500
Na  0.4698  0.9698  0.2500
Na  0.8820  0.1180  0.5000
Sb  0.1125  0.1125  0.1628
Sb  0.3875  0.3875  0.6628
Sb  0.8875  0.8875  0.8372
Sb  0.6125  0.6125  0.3372
S  0.3171  0.6829  0.5000
S  0.8171  0.1829  0.0000
S  0.6829  0.3171  0.5000
S  0.1829  0.8171  0.0000
O  0.7956  0.2735  0.8944
O  0.2735  0.7956  0.8944
O  0.7133  0.9629  0.9765
O  0.7867  0.5371  0.4765
O  0.2265  0.7044  0.3944
O  0.7265  0.2044  0.1056
O  0.7044  0.2265  0.3944
O  0.2956  0.7735  0.6056
O  0.5371  0.7867  0.4765
O  0.2867  0.0371  0.0235
O  0.9629  0.7133  0.9765
O  0.7735  0.2956  0.6056
O  0.2133  0.4629  0.5235
O  0.4629  0.2133  0.5235
O  0.2044  0.7265  0.1056
O  0.0371  0.2867  0.0235
F  0.9041  0.7203  0.7192
F  0.3769  0.3769  0.1161
F  0.2797  0.0959  0.2808
F  0.8769  0.8769  0.3839
F  0.2203  0.4041  0.7808
F  0.6231  0.6231  0.8839
F  0.7203  0.9041  0.7192
F  0.7797  0.5959  0.2192
F  0.4041  0.2203  0.7808
F  0.1231  0.1231  0.6161
F  0.0959  0.2797  0.2808
F  0.5959  0.7797  0.2192

The calculation puts the uncorrected energy at -5.34 eV/atom. The value obtained for the formation enthalpy at 0 K is -232.2 kJ/mol of atoms.


Record 2
Below is U2CuAs2H24O24 after structural relaxation, with properties calculated at the PBE level.

Unit cell a=7.2201 b=7.2201 c=21.1369 alpha=90.00 beta=90.00 gamma=90.00
Sites, in units of the cell vectors:
U  0.5000  0.5000  0.2954
U  0.5000  0.5000  0.7046
U  0.0000  0.0000  0.2046
U  0.0000  0.0000  0.7954
Cu  0.5000  0.5000  0.5000
Cu  0.0000  0.0000  0.0000
As  0.0000  0.5000  0.2500
As  0.0000  0.5000  0.7500
As  0.5000  0.0000  0.2500
As  0.5000  0.0000  0.7500
H  0.8446  0.1544  0.4154
H  0.1554  0.8456  0.4154
H  0.1554  0.1544  0.5846
H  0.8446  0.8456  0.5846
H  0.6554  0.3456  0.0846
H  0.3446  0.6544  0.0846
H  0.3446  0.3456  0.9154
H  0.6554  0.6544  0.9154
H  0.1544  0.8446  0.5846
H  0.8456  0.1554  0.5846
H  0.1544  0.1554  0.4154
H  0.8456  0.8446  0.4154
H  0.3456  0.6554  0.9154
H  0.6544  0.3446  0.9154
H  0.3456  0.3446  0.0846
H  0.6544  0.6554  0.0846
H  0.8960  0.3307  0.3757
H  0.1040  0.6693  0.3757
H  0.1040  0.3307  0.6243
H  0.8960  0.6693  0.6243
H  0.6040  0.1693  0.1243
H  0.3960  0.8307  0.1243
H  0.3960  0.1693  0.8757
H  0.6040  0.8307  0.8757
H  0.3307  0.8960  0.6243
H  0.6693  0.1040  0.6243
H  0.3307  0.1040  0.3757
H  0.6693  0.8960  0.3757
H  0.1693  0.6040  0.8757
H  0.8307  0.3960  0.8757
H  0.1693  0.3960  0.1243
H  0.8307  0.6040  0.1243
H  0.8419  0.4168  0.4716
H  0.1581  0.5832  0.4716
H  0.1581  0.4168  0.5284
H  0.8419  0.5832  0.5284
H  0.6581  0.0832  0.0284
H  0.3419  0.9168  0.0284
H  0.3419  0.0832  0.9716
H  0.6581  0.9168  0.9716
H  0.4168  0.8419  0.5284
H  0.5832  0.1581  0.5284
H  0.4168  0.1581  0.4716
H  0.5832  0.8419  0.4716
H  0.0832  0.6581  0.9716
H  0.9168  0.3419  0.9716
H  0.0832  0.3419  0.0284
H  0.9168  0.6581  0.0284
O  0.5000  0.5000  0.3814
O  0.5000  0.5000  0.6186
O  0.0000  0.0000  0.1186
O  0.0000  0.0000  0.8814
O  0.5000  0.5000  0.2095
O  0.5000  0.5000  0.7905
O  0.0000  0.0000  0.2905
O  0.0000  0.0000  0.7095
O  0.7693  0.5000  0.5000
O  0.2307  0.5000  0.5000
O  0.7307  0.0000  0.0000
O  0.2693  0.0000  0.0000
O  0.5000  0.7693  0.5000
O  0.5000  0.2307  0.5000
O  0.0000  0.7307  0.0000
O  0.0000  0.2693  0.0000
O  0.8169  0.4564  0.3001
O  0.1831  0.5436  0.3001
O  0.1831  0.4564  0.6999
O  0.8169  0.5436  0.6999
O  0.6831  0.0436  0.1999
O  0.3169  0.9564  0.1999
O  0.3169  0.0436  0.8001
O  0.6831  0.9564  0.8001
O  0.4564  0.8169  0.6999
O  0.5436  0.1831  0.6999
O  0.4564  0.1831  0.3001
O  0.5436  0.8169  0.3001
O  0.0436  0.6831  0.8001
O  0.9564  0.3169  0.8001
O  0.0436  0.3169  0.1999
O  0.9564  0.6831  0.1999
O  0.9262  0.2657  0.4156
O  0.0738  0.7343  0.4156
O  0.0738  0.2657  0.5844
O  0.9262  0.7343  0.5844
O  0.5738  0.2343  0.0844
O  0.4262  0.7657  0.0844
O  0.4262  0.2343  0.9156
O  0.5738  0.7657  0.9156
O  0.2657  0.9262  0.5844
O  0.7343  0.0738  0.5844
O  0.2657  0.0738  0.4156
O  0.7343  0.9262  0.4156
O  0.2343  0.5738  0.9156
O  0.7657  0.4262  0.9156
O  0.2343  0.4262  0.0844
O  0.7657  0.5738  0.0844

The calculation puts the uncorrected energy at -5.81 eV/atom. The value obtained for the formation enthalpy at 0 K is -160.5 kJ/mol of atoms.


Record 3
Below is Na3TiSi2SnPO12 after structural relaxation, with properties calculated at the PBE level.

Unit cell a=8.9862 b=8.9907 c=22.1599 alpha=89.81 beta=90.16 gamma=120.13
Sites, in units of the cell vectors:
Na  0.0018  0.9971  0.5007
Na  0.0095  0.0026  0.0018
Na  0.6662  0.3257  0.8316
Na  0.6727  0.3350  0.3370
Na  0.3300  0.6594  0.1668
Na  0.3363  0.6659  0.6643
Na  0.6347  0.0001  0.2512
Na  0.0008  0.6309  0.2515
Na  0.9918  0.3613  0.7485
Na  0.3703  0.0046  0.7512
Na  0.2987  0.3356  0.5823
Na  0.6681  0.9652  0.5849
Na  0.6682  0.6949  0.0859
Na  0.0339  0.3327  0.0857
Na  0.9741  0.6686  0.9180
Na  0.3309  0.2976  0.9187
Na  0.3330  0.0352  0.4166
Na  0.6999  0.6631  0.4193
Ti  0.9881  0.9983  0.3549
Ti  0.9962  0.9946  0.6467
Ti  0.0072  0.0026  0.1476
Ti  0.6549  0.3298  0.6845
Ti  0.6733  0.3373  0.4823
Ti  0.3355  0.6779  0.5194
Si  0.7099  0.7108  0.2504
Si  0.0020  0.2874  0.2491
Si  0.2934  0.2929  0.7480
Si  0.7083  0.0005  0.7469
Si  0.3727  0.0420  0.5824
Si  0.6693  0.6250  0.5822
Si  0.9622  0.6307  0.0846
Si  0.3709  0.3303  0.0825
Si  0.0376  0.3710  0.9161
Si  0.3357  0.9613  0.9138
Si  0.6256  0.9626  0.4169
Si  0.0397  0.6636  0.4159
Sn  0.0000  0.0042  0.8512
Sn  0.6647  0.3366  0.1878
Sn  0.6636  0.3280  0.9814
Sn  0.3293  0.6679  0.0192
Sn  0.3302  0.6594  0.3145
Sn  0.3377  0.6690  0.8117
P  0.2861  0.0026  0.2522
P  0.9919  0.7056  0.7493
P  0.9577  0.3377  0.5847
P  0.6672  0.0391  0.0858
P  0.6272  0.6696  0.9178
P  0.3319  0.3738  0.4196
O  0.2056  0.0223  0.3100
O  0.8316  0.8051  0.3104
O  0.9774  0.1615  0.3069
O  0.2236  0.1743  0.8092
O  0.9656  0.7776  0.8094
O  0.8317  0.0436  0.8059
O  0.8049  0.9762  0.6880
O  0.1650  0.1932  0.6906
O  0.0212  0.8325  0.6967
O  0.8051  0.8311  0.1912
O  0.0225  0.1960  0.1887
O  0.1728  0.9798  0.1962
O  0.8764  0.3604  0.6423
O  0.4988  0.1300  0.6417
O  0.6393  0.4925  0.6382
O  0.8819  0.5037  0.1438
O  0.6338  0.1133  0.1438
O  0.5022  0.3763  0.1394
O  0.4463  0.2959  0.0204
O  0.8379  0.5487  0.0247
O  0.7052  0.1588  0.0310
O  0.4689  0.1675  0.5243
O  0.6942  0.5330  0.5223
O  0.8357  0.3080  0.5299
O  0.5529  0.6978  0.9764
O  0.1596  0.4507  0.9760
O  0.2960  0.8356  0.9716
O  0.5329  0.8315  0.4749
O  0.3075  0.4599  0.4756
O  0.1771  0.6939  0.4708
O  0.1127  0.6284  0.3531
O  0.5042  0.8833  0.3563
O  0.3769  0.4930  0.3629
O  0.1215  0.4927  0.8557
O  0.3665  0.8831  0.8517
O  0.5076  0.6328  0.8630
O  0.0289  0.8416  0.4132
O  0.8122  0.9705  0.4114
O  0.1740  0.1922  0.4120
O  0.0257  0.1843  0.9128
O  0.1560  0.9701  0.9119
O  0.8102  0.8247  0.9113
O  0.9717  0.1708  0.5868
O  0.1870  0.0315  0.5895
O  0.8359  0.8190  0.5889
O  0.9731  0.8169  0.0921
O  0.8304  0.0220  0.0901
O  0.1763  0.1655  0.0901
O  0.6917  0.1742  0.7413
O  0.4828  0.3100  0.7402
O  0.8401  0.5241  0.7416
O  0.7018  0.5246  0.2497
O  0.8211  0.2949  0.2482
O  0.4718  0.1594  0.2470
O  0.6433  0.5047  0.9207
O  0.8533  0.3662  0.9216
O  0.4993  0.1572  0.9185
O  0.6401  0.1490  0.4256
O  0.4950  0.3542  0.4242
O  0.8452  0.4997  0.4245
O  0.3590  0.5081  0.0796
O  0.1493  0.6427  0.0807
O  0.5113  0.8552  0.0790
O  0.3630  0.8546  0.5760
O  0.4928  0.6379  0.5781
O  0.1406  0.4935  0.5768
O  0.3010  0.8360  0.2521
O  0.5242  0.7046  0.2538
O  0.1670  0.4830  0.2518
O  0.2957  0.4764  0.7514
O  0.1622  0.6970  0.7500
O  0.5136  0.8321  0.7490

The calculation puts the uncorrected energy at -6.97 eV/atom. The value obtained for the formation enthalpy at 0 K is -270.4 kJ/mol of atoms.


Record 4
Below is Lu5Ge10Rh4 after structural relaxation, with properties calculated at the PBE level.

Unit cell a=13.0318 b=13.0318 c=4.2130 alpha=90.00 beta=90.00 gamma=90.00
Sites, in units of the cell vectors:
Lu  0.5000  0.5000  0.0000
Lu  0.0000  0.0000  0.0000
Lu  0.6750  0.1750  0.5000
Lu  0.3250  0.8250  0.5000
Lu  0.1750  0.3250  0.5000
Lu  0.8250  0.6750  0.5000
Lu  0.8869  0.3869  0.5000
Lu  0.1131  0.6131  0.5000
Lu  0.3869  0.1131  0.5000
Lu  0.6131  0.8869  0.5000
Ge  0.5662  0.0662  0.0000
Ge  0.4338  0.9338  0.0000
Ge  0.0662  0.4338  0.0000
Ge  0.9338  0.5662  0.0000
Ge  0.6619  0.6996  0.0000
Ge  0.3381  0.3004  0.0000
Ge  0.1619  0.8004  0.0000
Ge  0.8381  0.1996  0.0000
Ge  0.3004  0.6619  0.0000
Ge  0.6996  0.3381  0.0000
Ge  0.1996  0.1619  0.0000
Ge  0.8004  0.8381  0.0000
Ge  0.6552  0.5076  0.5000
Ge  0.3448  0.4924  0.5000
Ge  0.1552  0.9924  0.5000
Ge  0.8448  0.0076  0.5000
Ge  0.4924  0.6552  0.5000
Ge  0.5076  0.3448  0.5000
Ge  0.0076  0.1552  0.5000
Ge  0.9924  0.8448  0.5000
Rh  0.7471  0.5206  0.0000
Rh  0.2529  0.4794  0.0000
Rh  0.2471  0.9794  0.0000
Rh  0.7529  0.0206  0.0000
Rh  0.4794  0.7471  0.0000
Rh  0.5206  0.2529  0.0000
Rh  0.0206  0.2471  0.0000
Rh  0.9794  0.7529  0.0000

The calculation puts the uncorrected energy at -5.93 eV/atom. The value obtained for the formation enthalpy at 0 K is -73.2 kJ/mol of atoms.